Crystalline Li2CrFeO4 at its relaxed geometry. Source: Materials Project, functional GGA+U.

Lattice parameters (Å, degrees): 5.877 5.877 5.060 106.54 106.54 59.72
Atoms (fractional coordinates):
1 Li 0.124 0.374 0.245
2 Li 0.374 0.124 0.745
3 Li 0.626 0.876 0.255
4 Li 0.876 0.626 0.755
5 Cr 0.373 0.627 0.750
6 Cr 0.627 0.373 0.250
7 Fe 0.124 0.876 0.250
8 Fe 0.876 0.124 0.750
9 O 0.010 0.768 0.506
10 O 0.232 0.990 0.994
11 O 0.259 0.516 0.012
12 O 0.484 0.741 0.488
13 O 0.516 0.259 0.512
14 O 0.741 0.484 0.988
15 O 0.768 0.010 0.006
16 O 0.990 0.232 0.494

Energy of formation   -2144.7 meV/atom
Crystal system   monoclinic
E above lowest polymorph   25 kJ/mol of formula units
Density   4.3 g cm⁻³

Crystalline KSrNdMnO6 at its relaxed geometry. Source: Materials Project, functional GGA+U.

Lattice parameters (Å, degrees): 5.967 5.967 5.967 60.00 60.00 60.00
Atoms (fractional coordinates):
1 K 0.000 0.000 0.000
2 Sr 0.500 0.500 0.500
3 Nd 0.750 0.750 0.750
4 Mn 0.250 0.250 0.250
5 O 0.024 0.024 0.476
6 O 0.024 0.476 0.024
7 O 0.024 0.476 0.476
8 O 0.476 0.024 0.024
9 O 0.476 0.024 0.476
10 O 0.476 0.476 0.024

Energy of formation   -2325.3 meV/atom
Crystal system   cubic
E above lowest polymorph   5 kJ/mol of formula units
Density   4.7 g cm⁻³

Crystalline SrSm3Ni2O8 at its relaxed geometry. Source: Materials Project, functional GGA+U.

Lattice parameters (Å, degrees): 5.380 6.757 6.757 46.50 90.00 90.00
Atoms (fractional coordinates):
1 Sr 0.000 0.000 0.000
2 Sm 0.000 0.281 0.281
3 Sm 0.500 0.508 0.508
4 Sm 0.500 0.783 0.783
5 Ni 0.000 0.641 0.641
6 Ni 0.500 0.141 0.141
7 O 0.000 0.467 0.467
8 O 0.000 0.808 0.808
9 O 0.261 0.400 0.900
10 O 0.261 0.900 0.400
11 O 0.500 0.326 0.326
12 O 0.500 0.967 0.967
13 O 0.739 0.400 0.900
14 O 0.739 0.900 0.400

Energy of formation   -2828.4 meV/atom
Crystal system   orthorhombic
Density   7.3 g cm⁻³

Crystalline Rb2Be2NiO6F8 at its relaxed geometry. Source: Materials Project, functional GGA+U.

Lattice parameters (Å, degrees): 5.991 11.664 8.440 90.00 102.81 90.00
Atoms (fractional coordinates):
1 Rb 0.153 0.145 0.388
2 Rb 0.153 0.355 0.888
3 Rb 0.847 0.645 0.112
4 Rb 0.847 0.855 0.612
5 Be 0.258 0.655 0.888
6 Be 0.258 0.845 0.388
7 Be 0.742 0.155 0.612
8 Be 0.742 0.345 0.112
9 Ni 0.500 0.000 0.000
10 Ni 0.500 0.500 0.500
11 O 0.219 0.569 0.501
12 O 0.219 0.931 0.001
13 O 0.337 0.104 0.859
14 O 0.337 0.396 0.359
15 O 0.411 0.116 0.117
16 O 0.411 0.384 0.617
17 O 0.589 0.616 0.383
18 O 0.589 0.884 0.883
19 O 0.663 0.604 0.641
20 O 0.663 0.896 0.141
21 O 0.781 0.069 0.999
22 O 0.781 0.431 0.499
23 F 0.102 0.740 0.405
24 F 0.102 0.760 0.905
25 F 0.129 0.580 0.733
26 F 0.129 0.920 0.233
27 F 0.283 0.577 0.034
28 F 0.283 0.923 0.534
29 F 0.486 0.700 0.852
30 F 0.486 0.800 0.352
31 F 0.514 0.200 0.648
32 F 0.514 0.300 0.148
33 F 0.717 0.077 0.466
34 F 0.717 0.423 0.966
35 F 0.871 0.080 0.767
36 F 0.871 0.420 0.267
37 F 0.898 0.240 0.095
38 F 0.898 0.260 0.595

Energy of formation   -1543.3 meV/atom
Crystal system   monoclinic
Density   2.9 g cm⁻³

Crystalline Sr2HfMgFeO6 at its relaxed geometry. Source: Materials Project, functional GGA+U.

Lattice parameters (Å, degrees): 6.271 6.271 5.784 117.28 117.28 54.83
Atoms (fractional coordinates):
1 Sr 0.182 0.182 0.182
2 Sr 0.818 0.818 0.818
3 Hf 0.500 0.500 0.000
4 Mg 0.500 0.500 0.500
5 Fe 0.000 0.000 0.500
6 O 0.252 0.747 0.254
7 O 0.253 0.748 0.746
8 O 0.276 0.276 0.776
9 O 0.724 0.724 0.224
10 O 0.747 0.252 0.254
11 O 0.748 0.253 0.746

Energy of formation   -2772.3 meV/atom
Crystal system   monoclinic
Density   5.5 g cm⁻³

Crystalline Sr4MgFe2Cl2O6 at its relaxed geometry. Source: Materials Project, functional GGA+U.

Lattice parameters (Å, degrees): 4.057 4.083 14.981 90.04 90.02 91.09
Atoms (fractional coordinates):
1 Sr 0.000 0.000 0.000
2 Sr 0.000 0.001 0.216
3 Sr 0.500 0.501 0.512
4 Sr 0.502 0.501 0.728
5 Mg 0.500 0.002 0.864
6 Fe 0.000 0.001 0.639
7 Fe 0.500 0.501 0.088
8 Cl 0.000 0.001 0.437
9 Cl 0.501 0.501 0.291
10 O 0.000 0.001 0.811
11 O 0.000 0.501 0.105
12 O 0.001 0.501 0.622
13 O 0.500 0.001 0.098
14 O 0.500 0.502 0.917
15 O 0.501 0.001 0.632

Energy of formation   -2284.7 meV/atom
Crystal system   triclinic
E above lowest polymorph   122 kJ/mol of formula units
Density   4.4 g cm⁻³

Which of these has the highest density? SrSm3Ni2O8

Which formula does entry 5 have? Sr2HfMgFeO6